# 1
# Rb2BaGe8O18

A relaxed structure of Rb2BaGe8O18 (PBE, the Materials Project database).

Theoretical density: 4.8 Mg/m³
Space group: P-3c1, No. 165
E_form: -2.249 eV/atom

abc: 12.007 12.007 19.598
angles: 90.00 90.00 120.00
Fractional positions:
Rb 0.999 0.336 0.960
Rb 0.001 0.664 0.040
Rb 0.337 0.001 0.960
Rb 0.663 0.664 0.540
Rb 0.663 0.999 0.040
Rb 0.337 0.336 0.460
Rb 0.664 0.663 0.960
Rb 0.336 0.999 0.540
Rb 0.336 0.337 0.040
Rb 0.664 0.001 0.460
Rb 0.001 0.337 0.540
Rb 0.999 0.663 0.460
Ba 0.665 0.665 0.750
Ba 0.335 0.335 0.250
Ba 0.000 0.335 0.750
Ba 0.000 0.665 0.250
Ba 0.335 0.000 0.750
Ba 0.665 0.000 0.250
Ge 0.667 0.333 0.978
Ge 0.333 0.667 0.022
Ge 0.333 0.667 0.522
Ge 0.667 0.333 0.478
Ge 0.667 0.333 0.728
Ge 0.333 0.667 0.272
Ge 0.333 0.667 0.772
Ge 0.667 0.333 0.228
Ge 0.000 0.000 0.000
Ge 0.000 0.000 0.500
Ge 0.825 0.003 0.872
Ge 0.175 0.997 0.128
Ge 0.178 0.175 0.872
Ge 0.822 0.997 0.628
Ge 0.822 0.825 0.128
Ge 0.178 0.003 0.372
Ge 0.997 0.822 0.872
Ge 0.003 0.825 0.628
Ge 0.003 0.178 0.128
Ge 0.997 0.175 0.372
Ge 0.175 0.178 0.628
Ge 0.825 0.822 0.372
Ge 0.662 0.144 0.851
Ge 0.338 0.856 0.149
Ge 0.483 0.338 0.851
Ge 0.517 0.856 0.649
Ge 0.517 0.662 0.149
Ge 0.483 0.144 0.351
Ge 0.856 0.517 0.851
Ge 0.144 0.662 0.649
Ge 0.144 0.483 0.149
Ge 0.856 0.338 0.351
Ge 0.338 0.483 0.649
Ge 0.662 0.517 0.351
Ge 0.512 0.846 0.891
Ge 0.488 0.154 0.109
Ge 0.333 0.488 0.891
Ge 0.667 0.154 0.609
Ge 0.667 0.512 0.109
Ge 0.333 0.846 0.391
Ge 0.154 0.667 0.891
Ge 0.846 0.512 0.609
Ge 0.846 0.333 0.109
Ge 0.154 0.488 0.391
Ge 0.488 0.333 0.609
Ge 0.512 0.667 0.391
Ge 0.000 0.000 0.750
Ge 0.000 0.000 0.250
O 0.726 0.240 0.923
O 0.274 0.760 0.077
O 0.515 0.274 0.923
O 0.485 0.760 0.577
O 0.485 0.726 0.077
O 0.515 0.240 0.423
O 0.760 0.485 0.923
O 0.240 0.726 0.577
O 0.240 0.515 0.077
O 0.760 0.274 0.423
O 0.274 0.515 0.577
O 0.726 0.485 0.423
O 0.676 0.894 0.914
O 0.324 0.106 0.086
O 0.218 0.324 0.914
O 0.782 0.106 0.586
O 0.782 0.676 0.086
O 0.218 0.894 0.414
O 0.106 0.782 0.914
O 0.894 0.676 0.586
O 0.894 0.218 0.086
O 0.106 0.324 0.414
O 0.324 0.218 0.586
O 0.676 0.782 0.414
O 0.817 0.407 0.783
O 0.183 0.593 0.217
O 0.590 0.183 0.783
O 0.410 0.593 0.717
O 0.410 0.817 0.217
O 0.590 0.407 0.283
O 0.593 0.410 0.783
O 0.407 0.817 0.717
O 0.407 0.590 0.217
O 0.593 0.183 0.283
O 0.183 0.590 0.717
O 0.817 0.410 0.283
O 0.931 0.081 0.941
O 0.069 0.919 0.059
O 0.150 0.069 0.941
O 0.850 0.919 0.559
O 0.850 0.931 0.059
O 0.150 0.081 0.441
O 0.919 0.850 0.941
O 0.081 0.931 0.559
O 0.081 0.150 0.059
O 0.919 0.069 0.441
O 0.069 0.150 0.559
O 0.931 0.850 0.441
O 0.795 0.120 0.828
O 0.205 0.880 0.172
O 0.326 0.205 0.828
O 0.674 0.880 0.672
O 0.674 0.795 0.172
O 0.326 0.120 0.328
O 0.880 0.674 0.828
O 0.120 0.795 0.672
O 0.120 0.326 0.172
O 0.880 0.205 0.328
O 0.205 0.326 0.672
O 0.795 0.674 0.328
O 0.474 0.483 0.864
O 0.526 0.517 0.136
O 0.009 0.526 0.864
O 0.991 0.517 0.636
O 0.991 0.474 0.136
O 0.009 0.483 0.364
O 0.517 0.991 0.864
O 0.483 0.474 0.636
O 0.483 0.009 0.136
O 0.517 0.526 0.364
O 0.526 0.009 0.636
O 0.474 0.991 0.364
O 0.850 0.913 0.808
O 0.150 0.087 0.192
O 0.064 0.150 0.808
O 0.936 0.087 0.692
O 0.936 0.850 0.192
O 0.064 0.913 0.308
O 0.087 0.936 0.808
O 0.913 0.850 0.692
O 0.913 0.064 0.192
O 0.087 0.150 0.308
O 0.150 0.064 0.692
O 0.850 0.936 0.308
O 0.393 0.576 0.967
O 0.607 0.424 0.033
O 0.183 0.607 0.967
O 0.817 0.424 0.533
O 0.817 0.393 0.033
O 0.183 0.576 0.467
O 0.424 0.817 0.967
O 0.576 0.393 0.533
O 0.576 0.183 0.033
O 0.424 0.607 0.467
O 0.607 0.183 0.533
O 0.393 0.817 0.467
O 0.483 0.727 0.829
O 0.517 0.273 0.171
O 0.244 0.517 0.829
O 0.756 0.273 0.671
O 0.756 0.483 0.171
O 0.244 0.727 0.329
O 0.273 0.756 0.829
O 0.727 0.483 0.671
O 0.727 0.244 0.171
O 0.273 0.517 0.329
O 0.517 0.244 0.671
O 0.483 0.756 0.329

---

# 2
# BaGeS6O21

A relaxed structure of BaGeS6O21 (PBE, the Materials Project database).

Theoretical density: 2.8 Mg/m³
Space group: P2_12_12_1, No. 19
E_form: -1.923 eV/atom

abc: 7.735 13.245 17.289
angles: 90.00 90.00 90.00
Fractional positions:
Ba 0.252 0.512 0.479
Ba 0.248 0.488 0.979
Ba 0.752 0.988 0.521
Ba 0.748 0.012 0.021
Ge 0.255 0.767 0.232
Ge 0.245 0.233 0.732
Ge 0.755 0.733 0.768
Ge 0.745 0.267 0.268
S 0.246 0.936 0.107
S 0.254 0.064 0.607
S 0.746 0.564 0.893
S 0.754 0.436 0.393
S 0.269 0.534 0.248
S 0.231 0.466 0.748
S 0.769 0.966 0.752
S 0.731 0.034 0.252
S 0.036 0.759 0.082
S 0.464 0.241 0.582
S 0.536 0.741 0.918
S 0.964 0.259 0.418
S 0.475 0.781 0.383
S 0.025 0.219 0.883
S 0.975 0.719 0.617
S 0.525 0.281 0.117
S 0.108 0.813 0.397
S 0.392 0.187 0.897
S 0.608 0.687 0.603
S 0.892 0.313 0.103
S 0.534 0.622 0.154
S 0.966 0.378 0.654
S 0.034 0.878 0.846
S 0.466 0.122 0.346
O 0.273 0.468 0.314
O 0.227 0.532 0.814
O 0.773 0.032 0.686
O 0.727 0.968 0.186
O 0.212 0.639 0.278
O 0.288 0.361 0.778
O 0.712 0.861 0.722
O 0.788 0.139 0.222
O 0.054 0.750 0.169
O 0.446 0.250 0.669
O 0.554 0.750 0.831
O 0.946 0.250 0.331
O 0.286 0.897 0.189
O 0.214 0.103 0.689
O 0.786 0.603 0.811
O 0.714 0.397 0.311
O 0.455 0.794 0.296
O 0.045 0.206 0.796
O 0.955 0.706 0.704
O 0.545 0.294 0.204
O 0.476 0.553 0.229
O 0.024 0.447 0.729
O 0.976 0.947 0.771
O 0.524 0.053 0.271
O 0.622 0.837 0.409
O 0.878 0.163 0.909
O 0.122 0.663 0.591
O 0.378 0.337 0.091
O 0.204 0.832 0.058
O 0.296 0.168 0.558
O 0.704 0.668 0.942
O 0.796 0.332 0.442
O 0.458 0.677 0.406
O 0.042 0.323 0.906
O 0.958 0.823 0.594
O 0.542 0.177 0.094
O 0.881 0.813 0.063
O 0.619 0.187 0.563
O 0.381 0.687 0.937
O 0.119 0.313 0.437
O 0.406 0.710 0.156
O 0.094 0.290 0.656
O 0.906 0.790 0.844
O 0.594 0.210 0.344
O 0.074 0.667 0.042
O 0.426 0.333 0.542
O 0.574 0.833 0.958
O 0.926 0.167 0.458
O 0.105 0.824 0.309
O 0.395 0.176 0.809
O 0.605 0.676 0.691
O 0.895 0.324 0.191
O 0.311 0.845 0.419
O 0.189 0.155 0.919
O 0.811 0.655 0.581
O 0.689 0.345 0.081
O 0.400 0.972 0.071
O 0.100 0.028 0.571
O 0.900 0.528 0.929
O 0.600 0.472 0.429
O 0.094 0.998 0.106
O 0.406 0.002 0.606
O 0.594 0.502 0.894
O 0.906 0.498 0.394
O 0.012 0.894 0.430
O 0.488 0.106 0.930
O 0.512 0.606 0.570
O 0.988 0.394 0.070
O 0.080 0.712 0.422
O 0.420 0.288 0.922
O 0.580 0.788 0.578
O 0.920 0.212 0.078
O 0.502 0.564 0.085
O 0.998 0.436 0.585
O 0.002 0.936 0.915
O 0.498 0.064 0.415
O 0.184 0.506 0.179
O 0.316 0.494 0.679
O 0.684 0.994 0.821
O 0.816 0.006 0.321
O 0.707 0.651 0.172
O 0.793 0.349 0.672
O 0.207 0.849 0.828
O 0.293 0.151 0.328

---

# 3
# BaTiGe3O9

A relaxed structure of BaTiGe3O9 (PBE, the Materials Project database).

Theoretical density: 4.3 Mg/m³
Space group: P-6c2, No. 188
E_form: -2.641 eV/atom

abc: 6.924 6.924 10.255
angles: 90.00 90.00 120.00
Fractional positions:
Ba 0.000 0.000 0.000
Ba 0.000 0.000 0.500
Ti 0.667 0.333 0.000
Ti 0.667 0.333 0.500
Ge 0.414 0.448 0.250
Ge 0.552 0.966 0.250
Ge 0.414 0.966 0.750
Ge 0.034 0.586 0.250
Ge 0.552 0.586 0.750
Ge 0.034 0.448 0.750
O 0.893 0.579 0.107
O 0.421 0.315 0.107
O 0.893 0.579 0.393
O 0.893 0.315 0.607
O 0.685 0.107 0.107
O 0.421 0.315 0.393
O 0.421 0.107 0.607
O 0.893 0.315 0.893
O 0.685 0.107 0.393
O 0.421 0.107 0.893
O 0.685 0.579 0.607
O 0.685 0.579 0.893
O 0.131 0.392 0.250
O 0.608 0.739 0.250
O 0.131 0.739 0.750
O 0.261 0.869 0.250
O 0.608 0.869 0.750
O 0.261 0.392 0.750

---

# 4
# Ba2UGeO6

A relaxed structure of Ba2UGeO6 (PBE, the Materials Project database).

Theoretical density: 6.8 Mg/m³
Space group: Fm-3m, No. 225
E_form: -3.054 eV/atom

abc: 6.162 6.162 6.162
angles: 60.00 60.00 60.00
Fractional positions:
Ba 0.250 0.250 0.250
Ba 0.750 0.750 0.750
U 0.500 0.500 0.500
Ge 0.000 0.000 0.000
O 0.741 0.259 0.259
O 0.259 0.741 0.741
O 0.259 0.741 0.259
O 0.741 0.259 0.741
O 0.259 0.259 0.741
O 0.741 0.741 0.259

---

# 5
# Ba4GeP4

A relaxed structure of Ba4GeP4 (PBE, the Materials Project database).

Theoretical density: 4.3 Mg/m³
Space group: P-43n, No. 218
E_form: -0.918 eV/atom

abc: 13.224 13.224 13.224
angles: 90.00 90.00 90.00
Fractional positions:
Ba 0.905 0.868 0.645
Ba 0.905 0.132 0.355
Ba 0.868 0.645 0.905
Ba 0.132 0.645 0.095
Ba 0.645 0.905 0.868
Ba 0.355 0.095 0.868
Ba 0.595 0.855 0.368
Ba 0.595 0.145 0.632
Ba 0.405 0.855 0.632
Ba 0.145 0.632 0.595
Ba 0.632 0.405 0.855
Ba 0.632 0.595 0.145
Ba 0.855 0.368 0.595
Ba 0.368 0.595 0.855
Ba 0.855 0.632 0.405
Ba 0.145 0.368 0.405
Ba 0.368 0.405 0.145
Ba 0.355 0.905 0.132
Ba 0.645 0.095 0.132
Ba 0.868 0.355 0.095
Ba 0.132 0.355 0.905
Ba 0.095 0.132 0.645
Ba 0.095 0.868 0.355
Ba 0.405 0.145 0.368
Ba 0.145 0.145 0.145
Ba 0.355 0.645 0.355
Ba 0.645 0.355 0.355
Ba 0.355 0.355 0.645
Ba 0.145 0.855 0.855
Ba 0.855 0.855 0.145
Ba 0.855 0.145 0.855
Ba 0.645 0.645 0.645
Ge 0.750 0.000 0.500
Ge 0.500 0.750 0.000
Ge 0.500 0.250 0.000
Ge 0.000 0.500 0.250
Ge 0.000 0.500 0.750
Ge 0.250 0.000 0.500
Ge 0.500 0.500 0.500
Ge 0.000 0.000 0.000
P 0.651 0.896 0.612
P 0.651 0.104 0.388
P 0.896 0.612 0.651
P 0.104 0.612 0.349
P 0.612 0.651 0.896
P 0.388 0.349 0.896
P 0.849 0.888 0.396
P 0.849 0.112 0.604
P 0.151 0.888 0.604
P 0.112 0.604 0.849
P 0.604 0.151 0.888
P 0.604 0.849 0.112
P 0.888 0.396 0.849
P 0.396 0.849 0.888
P 0.888 0.604 0.151
P 0.112 0.396 0.151
P 0.396 0.151 0.112
P 0.388 0.651 0.104
P 0.612 0.349 0.104
P 0.896 0.388 0.349
P 0.104 0.388 0.651
P 0.349 0.104 0.612
P 0.349 0.896 0.388
P 0.151 0.112 0.396
P 0.895 0.895 0.895
P 0.605 0.395 0.605
P 0.395 0.605 0.605
P 0.605 0.605 0.395
P 0.895 0.105 0.105
P 0.105 0.105 0.895
P 0.105 0.895 0.105
P 0.395 0.395 0.395

---

> Which of these has the lowest theoretical density?

BaGeS6O21